(1)
LiCr2P3O12 PBE with a Hubbard U optimized geometry; space group = C2/c, No. 15; E = -255.3 eV for the cell shown; polymorph energy (0 for the lowest one) = 76 meV per atom
1.0
6.161 5.954 0.000
-6.161 5.954 0.000
0.000 2.456 5.757
O Cr P Li
24 4 6 2
direct
0.739 0.148 0.469 O
0.251 0.547 0.729 O
0.749 0.453 0.271 O
0.193 0.172 0.387 O
0.037 0.360 0.587 O
0.592 0.939 0.328 O
0.828 0.807 0.113 O
0.061 0.408 0.172 O
0.640 0.963 0.913 O
0.682 0.537 0.716 O
0.963 0.640 0.413 O
0.463 0.318 0.784 O
0.261 0.852 0.531 O
0.360 0.037 0.087 O
0.408 0.061 0.672 O
0.318 0.463 0.284 O
0.547 0.251 0.229 O
0.172 0.193 0.887 O
0.852 0.261 0.031 O
0.537 0.682 0.216 O
0.453 0.749 0.771 O
0.939 0.592 0.828 O
0.148 0.739 0.969 O
0.807 0.828 0.613 O
0.378 0.060 0.363 Cr
0.940 0.622 0.137 Cr
0.060 0.378 0.863 Cr
0.622 0.940 0.637 Cr
0.277 0.723 0.750 P
0.723 0.277 0.250 P
0.354 0.162 0.855 P
0.646 0.838 0.145 P
0.162 0.354 0.355 P
0.838 0.646 0.645 P
0.500 0.500 0.500 Li
0.500 0.500 0.000 Li

---

(2)
Cd2MoWO8 PBE with a Hubbard U optimized geometry; space group = I-4, No. 82; E = -74.4 eV for the cell shown
1.0
-2.636 2.636 5.697
2.636 -2.636 5.697
2.636 2.636 -5.697
O W Mo Cd
8 1 1 2
direct
0.918 0.505 0.097 O
0.408 0.821 0.903 O
0.756 0.155 0.084 O
0.328 0.244 0.399 O
0.845 0.929 0.601 O
0.495 0.592 0.413 O
0.179 0.082 0.587 O
0.071 0.672 0.916 O
0.250 0.750 0.500 W
0.000 0.000 0.000 Mo
0.500 0.500 0.000 Cd
0.750 0.250 0.500 Cd

---

(3)
Li2Cr2P2O7F2 PBE with a Hubbard U optimized geometry; space group = Pbcn, No. 60; E = -403.4 eV for the cell shown
1.0
-0.020 3.161 -6.147
3.805 -8.787 -4.531
-10.129 -3.480 -1.757
O F P Li Cr
28 8 8 8 8
direct
0.333 0.829 0.532 O
0.687 0.183 0.186 O
0.833 0.171 0.968 O
0.000 0.750 0.505 O
0.167 0.829 0.032 O
0.667 0.171 0.468 O
0.187 0.817 0.314 O
0.313 0.817 0.814 O
0.215 0.616 0.925 O
0.313 0.317 0.186 O
0.215 0.116 0.075 O
0.667 0.671 0.532 O
0.000 0.250 0.495 O
0.500 0.250 0.995 O
0.785 0.384 0.075 O
0.187 0.317 0.686 O
0.167 0.329 0.968 O
0.715 0.384 0.575 O
0.500 0.750 0.005 O
0.785 0.884 0.925 O
0.285 0.616 0.425 O
0.813 0.683 0.314 O
0.813 0.183 0.686 O
0.833 0.671 0.032 O
0.715 0.884 0.425 O
0.285 0.116 0.575 O
0.687 0.683 0.814 O
0.333 0.329 0.468 O
0.911 0.459 0.808 F
0.411 0.041 0.308 F
0.911 0.959 0.192 F
0.411 0.541 0.692 F
0.589 0.459 0.308 F
0.089 0.541 0.192 F
0.589 0.959 0.692 F
0.089 0.041 0.808 F
0.788 0.748 0.439 P
0.788 0.248 0.561 P
0.288 0.252 0.061 P
0.712 0.248 0.061 P
0.712 0.748 0.939 P
0.212 0.752 0.439 P
0.288 0.752 0.939 P
0.212 0.252 0.561 P
0.167 0.999 0.251 Li
0.333 0.999 0.751 Li
0.333 0.499 0.249 Li
0.833 0.001 0.749 Li
0.833 0.501 0.251 Li
0.167 0.499 0.749 Li
0.667 0.501 0.751 Li
0.667 0.001 0.249 Li
0.000 0.500 0.000 Cr
0.500 0.000 0.500 Cr
0.000 0.750 0.176 Cr
0.500 0.250 0.324 Cr
0.500 0.750 0.676 Cr
0.000 0.250 0.824 Cr
0.500 0.500 0.500 Cr
0.000 0.000 0.000 Cr

---

(4)
Li6V3P8O29 PBE with a Hubbard U optimized geometry; space group = P1, No. 1; E = -645.6 eV for the cell shown; polymorph energy (0 for the lowest one) = 3 meV per atom
1.0
-1.883 -2.884 -9.185
1.909 -9.230 -2.723
-12.807 -3.832 3.758
P O Li V
16 58 12 6
direct
0.681 0.231 0.342 P
0.915 0.319 0.656 P
0.332 0.334 0.628 P
0.085 0.680 0.343 P
0.668 0.665 0.372 P
0.771 0.912 0.658 P
0.316 0.912 0.156 P
0.317 0.770 0.657 P
0.684 0.091 0.843 P
0.227 0.683 0.843 P
0.666 0.666 0.874 P
0.915 0.775 0.157 P
0.335 0.334 0.126 P
0.086 0.223 0.843 P
0.231 0.088 0.340 P
0.772 0.317 0.158 P
0.253 0.078 0.844 O
0.514 0.818 0.831 O
0.990 0.221 0.927 O
0.521 0.380 0.324 O
0.193 0.325 0.169 O
0.490 0.188 0.164 O
0.999 0.757 0.435 O
0.916 0.340 0.162 O
0.920 0.750 0.659 O
0.331 0.331 0.520 O
0.210 0.791 0.750 O
0.660 0.670 0.981 O
0.243 0.754 0.567 O
0.002 0.241 0.565 O
0.792 0.207 0.250 O
0.245 0.997 0.431 O
0.758 0.003 0.568 O
0.512 0.674 0.332 O
0.093 0.522 0.324 O
0.675 0.813 0.332 O
0.519 0.108 0.831 O
0.005 0.787 0.073 O
0.185 0.483 0.671 O
0.084 0.252 0.341 O
0.104 0.372 0.833 O
0.252 0.662 0.343 O
0.664 0.082 0.343 O
0.376 0.520 0.830 O
0.814 0.513 0.332 O
0.382 0.097 0.322 O
0.790 0.003 0.751 O
0.338 0.743 0.163 O
0.767 0.013 0.935 O
0.228 0.988 0.065 O
0.472 0.907 0.170 O
0.903 0.479 0.673 O
0.662 0.260 0.838 O
0.672 0.515 0.833 O
0.477 0.619 0.677 O
0.487 0.326 0.666 O
0.813 0.669 0.828 O
0.007 0.206 0.745 O
0.231 0.770 0.932 O
0.084 0.661 0.842 O
0.619 0.472 0.170 O
0.622 0.900 0.675 O
0.324 0.489 0.165 O
0.776 0.227 0.069 O
0.750 0.334 0.657 O
0.208 0.000 0.249 O
0.665 0.667 0.480 O
0.908 0.624 0.169 O
0.758 0.244 0.432 O
0.331 0.183 0.671 O
0.336 0.916 0.656 O
0.995 0.795 0.255 O
0.745 0.920 0.160 O
0.337 0.336 0.018 O
0.093 0.677 0.560 Li
0.232 0.669 0.063 Li
0.227 0.093 0.558 Li
0.905 0.326 0.437 Li
0.332 0.904 0.942 Li
0.325 0.336 0.885 Li
0.670 0.095 0.063 Li
0.325 0.771 0.438 Li
0.678 0.228 0.559 Li
0.001 0.000 0.004 Li
0.766 0.337 0.942 Li
0.772 0.903 0.439 Li
0.432 0.567 0.251 V
0.436 0.999 0.750 V
0.568 0.998 0.250 V
0.003 0.431 0.245 V
0.995 0.569 0.755 V
0.569 0.433 0.747 V

---

(5)
RbMg14CoO16 PBE with a Hubbard U optimized geometry; space group = P4/mmm, No. 123; E = -182.6 eV for the cell shown; polymorph energy (0 for the lowest one) = 9 meV per atom
1.0
-7.475 -0.078 -4.541
4.532 -0.690 -7.449
-0.144 -4.297 0.311
O Mg Co Rb
16 14 1 1
direct
0.500 0.221 0.000 O
0.250 0.750 0.500 O
0.000 0.000 0.500 O
0.750 0.250 0.500 O
0.221 0.500 0.000 O
0.779 0.500 0.000 O
0.500 0.000 0.500 O
0.500 0.500 0.500 O
0.000 0.759 0.000 O
0.500 0.779 0.000 O
0.241 0.000 0.000 O
0.750 0.750 0.500 O
0.000 0.241 0.000 O
0.250 0.250 0.500 O
0.000 0.500 0.500 O
0.759 0.000 0.000 O
0.236 0.500 0.500 Mg
0.764 0.500 0.500 Mg
0.000 0.248 0.500 Mg
0.000 0.500 0.000 Mg
0.752 0.000 0.500 Mg
0.247 0.753 0.000 Mg
0.500 0.764 0.500 Mg
0.753 0.753 0.000 Mg
0.248 0.000 0.500 Mg
0.247 0.247 0.000 Mg
0.500 0.000 0.000 Mg
0.753 0.247 0.000 Mg
0.500 0.236 0.500 Mg
0.000 0.752 0.500 Mg
0.000 0.000 0.000 Co
0.500 0.500 0.000 Rb

---

(6)
Y2CrSbO7 PBE with a Hubbard U optimized geometry; space group = Imma, No. 74; E = -175.8 eV for the cell shown
1.0
6.527 -0.051 -3.245
-5.863 2.153 -3.703
3.363 6.319 -1.650
O Y Cr Sb
14 4 2 2
direct
0.745 0.872 0.878 O
0.837 0.419 0.831 O
0.320 0.160 0.590 O
0.748 0.579 0.589 O
0.252 0.421 0.836 O
0.748 0.579 0.164 O
0.748 0.169 0.589 O
0.255 0.128 0.122 O
0.252 0.831 0.836 O
0.252 0.421 0.411 O
0.680 0.840 0.410 O
0.748 0.169 0.164 O
0.163 0.581 0.169 O
0.252 0.831 0.411 O
0.500 0.000 0.000 Y
0.000 0.000 0.500 Y
0.500 0.500 0.000 Y
0.000 0.000 0.000 Y
0.500 0.000 0.500 Cr
0.500 0.500 0.500 Cr
0.000 0.500 0.500 Sb
0.000 0.500 0.000 Sb